[1]
# Al2O3, optimized geometry, DFT PBE-GGA
# Spin magnetization ... 0.00 μB per atom
# Volume ... 10.52 A^3/atom
# VASP energy ... -36.322 eV/f.u.
# Energy of formation ... -310 kJ per mole of atoms
data_Al2O3
_space_group_name_H-M_alt 'P 1'
_space_group_IT_number 1
_cell_length_a 10.019
_cell_length_b 10.121
_cell_length_c 10.436
_cell_angle_alpha 93.32
_cell_angle_beta 91.31
_cell_angle_gamma 95.00
loop_
_space_group_symop_operation_xyz
'x,y,z'
loop_
_atom_site_label
_atom_site_fract_x
_atom_site_fract_y
_atom_site_fract_z
_atom_site_occupancy
Al1 0.000 0.000 0.000 1
Al2 0.005 0.725 0.453 1
Al3 0.010 0.280 0.684 1
Al4 0.026 0.180 0.285 1
Al5 0.034 0.404 0.946 1
Al6 0.102 0.467 0.256 1
Al7 0.119 0.568 0.694 1
Al8 0.138 0.885 0.282 1
Al9 0.175 0.897 0.710 1
Al10 0.221 0.647 0.959 1
Al11 0.226 0.170 0.591 1
Al12 0.231 0.157 0.900 1
Al13 0.257 0.413 0.465 1
Al14 0.292 0.930 0.032 1
Al15 0.322 0.134 0.326 1
Al16 0.322 0.386 0.782 1
Al17 0.325 0.397 0.101 1
Al18 0.343 0.681 0.343 1
Al19 0.382 0.906 0.519 1
Al20 0.404 0.655 0.622 1
Al21 0.427 0.868 0.816 1
Al22 0.507 0.902 0.238 1
Al23 0.513 0.179 0.155 1
Al24 0.523 0.613 0.081 1
Al25 0.534 0.169 0.674 1
Al26 0.551 0.401 0.323 1
Al27 0.562 0.436 0.597 1
Al28 0.653 0.910 0.687 1
Al29 0.658 0.640 0.829 1
Al30 0.681 0.364 0.953 1
Al31 0.706 0.101 0.865 1
Al32 0.736 0.881 0.065 1
Al33 0.747 0.260 0.429 1
Al34 0.806 0.878 0.361 1
Al35 0.814 0.576 0.303 1
Al36 0.825 0.207 0.112 1
Al37 0.857 0.478 0.636 1
Al38 0.901 0.671 0.028 1
Al39 0.906 0.993 0.615 1
Al40 0.940 0.781 0.754 1
O1 0.010 0.946 0.830 1
O2 0.027 0.854 0.596 1
O3 0.044 0.123 0.615 1
O4 0.049 0.589 0.006 1
O5 0.087 0.248 0.853 1
O6 0.101 0.332 0.359 1
O7 0.109 0.727 0.787 1
O8 0.135 0.388 0.101 1
O9 0.152 0.064 0.309 1
O10 0.178 0.055 0.026 1
O11 0.179 0.346 0.632 1
O12 0.200 0.828 0.135 1
O13 0.204 0.776 0.393 1
O14 0.215 0.513 0.832 1
O15 0.242 0.571 0.564 1
O16 0.253 0.002 0.578 1
O17 0.271 0.516 0.310 1
O18 0.298 0.000 0.835 1
O19 0.313 0.242 0.459 1
O20 0.327 0.807 0.675 1
O21 0.341 0.306 0.942 1
O22 0.343 0.789 0.940 1
O23 0.345 0.564 0.045 1
O24 0.354 0.238 0.191 1
O25 0.369 0.223 0.710 1
O26 0.406 0.982 0.356 1
O27 0.442 0.496 0.704 1
O28 0.449 0.744 0.478 1
O29 0.456 0.005 0.111 1
O30 0.464 0.730 0.222 1
O31 0.465 0.467 0.458 1
O32 0.508 0.458 0.173 1
O33 0.530 0.999 0.603 1
O34 0.549 0.743 0.735 1
O35 0.576 0.223 0.315 1
O36 0.577 0.972 0.841 1
O37 0.605 0.511 0.936 1
O38 0.611 0.274 0.561 1
O39 0.620 0.753 0.999 1
O40 0.628 0.245 0.822 1
O41 0.649 0.241 0.070 1
O42 0.688 0.913 0.231 1
O43 0.700 0.527 0.679 1
O44 0.723 0.439 0.375 1
O45 0.782 0.044 0.003 1
O46 0.784 0.071 0.720 1
O47 0.789 0.600 0.139 1
O48 0.793 0.712 0.411 1
O49 0.798 0.832 0.668 1
O50 0.809 0.014 0.470 1
O51 0.837 0.679 0.863 1
O52 0.848 0.219 0.289 1
O53 0.860 0.340 0.993 1
O54 0.874 0.318 0.561 1
O55 0.910 0.849 0.062 1
O56 0.970 0.440 0.767 1
O57 0.975 0.853 0.329 1
O58 0.976 0.603 0.586 1
O59 0.982 0.136 0.120 1
O60 0.993 0.577 0.322 1



[2]
# ZrGaNi, optimized geometry, DFT PBE-GGA
# Volume ... 15.86 A^3/atom
# VASP energy ... -19.297 eV/f.u.
# Energy of formation ... -62 kJ per mole of atoms
data_ZrGaNi
_space_group_name_H-M_alt 'P -6 2 m'
_space_group_IT_number 189
_space_group_name_Hall 'P -6 -2'
_cell_length_a 6.8581
_cell_length_b 6.8581
_cell_length_c 3.5041
_cell_angle_alpha 90.00
_cell_angle_beta 90.00
_cell_angle_gamma 120.00
loop_
_atom_site_label
_atom_site_fract_x
_atom_site_fract_y
_atom_site_fract_z
_atom_site_occupancy
Zr1 0.0000 0.4057 0.0000 1
Ga1 0.0000 0.7424 0.5000 1
Ni1 0.0000 0.0000 0.0000 1
Ni2 0.3333 0.6667 0.5000 1



[3]
# SrAs3, optimized geometry, DFT PBE-GGA
# Spin magnetization ... 0.00 μB per atom
# Volume ... 26.10 A^3/atom
# VASP energy ... -18.055 eV/f.u.
# Energy of formation ... -58 kJ per mole of atoms
data_SrAs3
_space_group_name_H-M_alt 'P -1'
_space_group_IT_number 2
_cell_length_a 6.022
_cell_length_b 6.187
_cell_length_c 6.244
_cell_angle_alpha 77.69
_cell_angle_beta 70.18
_cell_angle_gamma 74.26
loop_
_space_group_symop_operation_xyz
'x,y,z'
'-x,-y,-z'
loop_
_atom_site_label
_atom_site_fract_x
_atom_site_fract_y
_atom_site_fract_z
_atom_site_occupancy
Sr1 0.161 0.178 0.149 1
As1 0.288 0.500 0.509 1
As2 0.293 0.090 0.615 1
As3 0.317 0.637 0.099 1



[4]
# YAlN2, optimized geometry, DFT PBE-GGA
# Spin magnetization ... 0.00 μB per atom
# Volume ... 13.05 A^3/atom
# VASP energy ... -32.083 eV/f.u.
# Energy of formation ... -143 kJ per mole of atoms
data_YAlN2
_space_group_name_H-M_alt 'I -4 2 d'
_space_group_IT_number 122
_space_group_name_Hall 'I -4 2bw'
_cell_length_a 5.403
_cell_length_b 5.403
_cell_length_c 7.155
_cell_angle_alpha 90.00
_cell_angle_beta 90.00
_cell_angle_gamma 90.00
loop_
_atom_site_label
_atom_site_fract_x
_atom_site_fract_y
_atom_site_fract_z
_atom_site_occupancy
Y1 0.000 0.000 0.000 1
Al1 0.000 0.000 0.500 1
N1 0.191 0.750 0.625 1



[5]
# Co3Ni3S8, optimized geometry, DFT PBE-GGA
# Spin magnetization ... 0.00 μB per atom
# Volume ... 14.62 A^3/atom
# VASP energy ... -77.343 eV/f.u.
# Energy of formation ... -66 kJ per mole of atoms
data_Co3Ni3S8
_space_group_name_H-M_alt 'R -3 m'
_space_group_IT_number 166
_space_group_name_Hall '-R 3 2"'
_cell_length_a 6.6216
_cell_length_b 6.6216
_cell_length_c 16.1693
_cell_angle_alpha 90.00
_cell_angle_beta 90.00
_cell_angle_gamma 120.00
loop_
_atom_site_label
_atom_site_fract_x
_atom_site_fract_y
_atom_site_fract_z
_atom_site_occupancy
Co1 0.0000 0.0000 0.0000 1
Co2 0.0000 0.0000 0.3753 1
Ni1 0.0000 0.5000 0.5000 1
S1 0.0000 0.0000 0.2442 1
S2 0.0195 0.5097 0.7507 1



[6]
# ErCd3, optimized geometry, DFT PBE-GGA
# Volume ... 23.69 A^3/atom
# VASP energy ... -8.370 eV/f.u.
# Energy of formation ... -25 kJ per mole of atoms
data_ErCd3
_space_group_name_H-M_alt 'C m c m'
_space_group_IT_number 63
_space_group_name_Hall '-C 2c 2'
_cell_length_a 7.194
_cell_length_b 10.817
_cell_length_c 4.870
_cell_angle_alpha 90.00
_cell_angle_beta 90.00
_cell_angle_gamma 90.00
loop_
_atom_site_label
_atom_site_fract_x
_atom_site_fract_y
_atom_site_fract_z
_atom_site_occupancy
Er1 0.000 0.132 0.250 1
Cd1 0.000 0.323 0.750 1
Cd2 0.215 0.404 0.250 1



[7]
# Na5La2SiSn2P5O24, optimized geometry, DFT PBE-GGA
# Spin magnetization ... 0.00 μB per atom
# Volume ... 15.00 A^3/atom
# VASP energy ... -267.507 eV/f.u.
# Energy of formation ... -268 kJ per mole of atoms
data_Na5La2SiSn2P5O24
_space_group_name_H-M_alt 'P 1'
_space_group_IT_number 1
_cell_length_a 9.237
_cell_length_b 9.300
_cell_length_c 23.511
_cell_angle_alpha 89.89
_cell_angle_beta 89.85
_cell_angle_gamma 60.34
loop_
_space_group_symop_operation_xyz
'x,y,z'
loop_
_atom_site_label
_atom_site_fract_x
_atom_site_fract_y
_atom_site_fract_z
_atom_site_occupancy
Na1 0.000 0.000 0.000 1
Na2 0.000 0.367 0.500 1
Na3 0.306 0.665 0.167 1
Na4 0.307 0.037 0.918 1
Na5 0.312 0.008 0.415 1
Na6 0.339 0.695 0.830 1
Na7 0.606 0.054 0.827 1
Na8 0.641 0.982 0.500 1
Na9 0.649 0.350 0.257 1
Na10 0.650 0.341 0.745 1
Na11 0.670 0.665 0.662 1
Na12 0.672 0.027 0.168 1
Na13 0.945 0.377 0.169 1
Na14 0.975 0.684 0.080 1
Na15 0.985 0.694 0.585 1
La1 0.299 0.039 0.755 1
La2 0.303 0.027 0.272 1
La3 0.637 0.360 0.093 1
La4 0.647 0.360 0.901 1
La5 0.973 0.678 0.934 1
La6 0.980 0.693 0.438 1
Si1 0.011 0.014 0.165 1
Si2 0.618 0.026 0.664 1
Si3 0.625 0.650 0.503 1
Sn1 0.311 0.021 0.070 1
Sn2 0.312 0.016 0.567 1
Sn3 0.637 0.357 0.600 1
Sn4 0.638 0.365 0.398 1
Sn5 0.974 0.696 0.238 1
Sn6 0.976 0.692 0.727 1
P1 0.271 0.401 0.826 1
P2 0.286 0.668 0.332 1
P3 0.294 0.329 0.166 1
P4 0.308 0.718 0.664 1
P5 0.330 0.685 0.002 1
P6 0.363 0.342 0.502 1
P7 0.612 0.734 0.166 1
P8 0.627 0.049 0.002 1
P9 0.678 0.691 0.824 1
P10 0.685 0.003 0.335 1
P11 0.929 0.085 0.502 1
P12 0.954 0.406 0.334 1
P13 0.969 0.339 0.007 1
P14 0.973 0.980 0.829 1
P15 0.999 0.333 0.659 1
O1 0.006 0.837 0.174 1
O2 0.063 0.234 0.713 1
O3 0.094 0.060 0.217 1
O4 0.104 0.075 0.509 1
O5 0.105 0.234 0.330 1
O6 0.115 0.243 0.607 1
O7 0.125 0.499 0.172 1
O8 0.132 0.978 0.107 1
O9 0.133 0.991 0.824 1
O10 0.138 0.172 0.009 1
O11 0.149 0.718 0.000 1
O12 0.150 0.699 0.668 1
O13 0.172 0.512 0.774 1
O14 0.179 0.478 0.882 1
O15 0.179 0.690 0.383 1
O16 0.184 0.488 0.500 1
O17 0.200 0.653 0.275 1
O18 0.267 0.242 0.112 1
O19 0.275 0.842 0.613 1
O20 0.301 0.222 0.825 1
O21 0.314 0.817 0.329 1
O22 0.321 0.857 0.006 1
O23 0.337 0.217 0.217 1
O24 0.347 0.780 0.719 1
O25 0.349 0.178 0.507 1
O26 0.408 0.586 0.057 1
O27 0.432 0.599 0.948 1
O28 0.437 0.368 0.158 1
O29 0.443 0.394 0.826 1
O30 0.447 0.366 0.555 1
O31 0.457 0.503 0.335 1
O32 0.460 0.842 0.507 1
O33 0.466 0.037 0.009 1
O34 0.467 0.548 0.653 1
O35 0.472 0.313 0.448 1
O36 0.502 0.809 0.218 1
O37 0.503 0.849 0.822 1
O38 0.510 0.028 0.330 1
O39 0.520 0.986 0.610 1
O40 0.521 0.058 0.723 1
O41 0.532 0.848 0.113 1
O42 0.604 0.560 0.445 1
O43 0.606 0.152 0.948 1
O44 0.640 0.188 0.654 1
O45 0.640 0.557 0.159 1
O46 0.652 0.130 0.056 1
O47 0.655 0.537 0.826 1
O48 0.656 0.536 0.559 1
O49 0.678 0.175 0.338 1
O50 0.758 0.712 0.878 1
O51 0.765 0.903 0.389 1
O52 0.785 0.675 0.770 1
O53 0.787 0.878 0.999 1
O54 0.788 0.723 0.173 1
O55 0.790 0.395 0.335 1
O56 0.791 0.671 0.501 1
O57 0.791 0.915 0.279 1
O58 0.798 0.845 0.667 1
O59 0.809 0.150 0.829 1
O60 0.817 0.366 0.652 1
O61 0.818 0.167 0.554 1
O62 0.820 0.167 0.160 1
O63 0.853 0.191 0.447 1
O64 0.872 0.358 0.062 1
O65 0.880 0.314 0.955 1
O66 0.939 0.512 0.277 1
O67 0.945 0.913 0.500 1
O68 0.957 0.880 0.778 1
O69 0.971 0.487 0.388 1
O70 0.984 0.509 0.665 1
O71 0.987 0.893 0.887 1
O72 0.994 0.488 0.003 1



[8]
# BRh2, optimized geometry, DFT PBE-GGA
# Spin magnetization ... 0.00 μB per atom
# Volume ... 11.75 A^3/atom
# VASP energy ... -21.987 eV/f.u.
# Energy of formation ... -19 kJ per mole of atoms
data_BRh2
_space_group_name_H-M_alt 'P n m a'
_space_group_IT_number 62
_cell_length_a 5.400
_cell_length_b 3.846
_cell_length_c 6.788
_cell_angle_alpha 90.00
_cell_angle_beta 90.00
_cell_angle_gamma 90.00
loop_
_space_group_symop_operation_xyz
'x,y,z'
'-x,-y,-z'
'-x+1/2,-y,z+1/2'
'x+1/2,y,-z+1/2'
'x+1/2,-y+1/2,-z+1/2'
'-x+1/2,y+1/2,z+1/2'
'-x,y+1/2,-z'
'x,-y+1/2,z'
loop_
_atom_site_label
_atom_site_fract_x
_atom_site_fract_y
_atom_site_fract_z
_atom_site_occupancy
B1 0.233 0.250 0.101 1
Rh1 0.007 0.250 0.851 1
Rh2 0.125 0.250 0.403 1



Look up the volume of the seventh one.
15.00 A^3/atom